# 1
## ZnMo2O4 (PBE with a Hubbard U)

Data for a geometry-optimized ZnMo2O4 structure.

Calculated values
As for the distance to the lowest polymorph of the same formula: 0.19 eV/f.u. For the magnetic moment, the calculation gives 72.00 Bohr magnetons per cell. As for the volume: 12.90 Å³/atom. The calculation puts the formation energy at -1183.8 kJ/mol of formula units.

Cell lengths 11.104, 6.324, 15.439 Å; angles 90.00, 91.24, 90.00 degrees
Space group Cm (No. 8)
Inequivalent atoms, fractional coordinates:
Zn 0.000 0.000 0.000 (multiplicity 2)
Zn 0.000 0.000 0.372 (multiplicity 2)
Zn 0.163 0.500 0.668 (multiplicity 2)
Zn 0.334 0.000 0.085 (multiplicity 2)
Zn 0.335 0.000 0.330 (multiplicity 2)
Zn 0.498 0.500 0.751 (multiplicity 2)
Mo 0.085 0.247 0.210 (multiplicity 4)
Mo 0.162 0.000 0.541 (multiplicity 2)
Mo 0.167 0.500 0.043 (multiplicity 2)
Mo 0.167 0.500 0.418 (multiplicity 2)
Mo 0.249 0.248 0.876 (multiplicity 4)
Mo 0.330 0.000 0.709 (multiplicity 2)
Mo 0.339 0.500 0.209 (multiplicity 2)
Mo 0.413 0.250 0.542 (multiplicity 4)
Mo 0.498 0.000 0.876 (multiplicity 2)
O 0.001 0.000 0.133 (multiplicity 2)
O 0.012 0.500 0.127 (multiplicity 2)
O 0.071 0.244 0.467 (multiplicity 4)
O 0.089 0.261 0.956 (multiplicity 4)
O 0.157 0.000 0.294 (multiplicity 2)
O 0.162 0.500 0.800 (multiplicity 2)
O 0.175 0.000 0.794 (multiplicity 2)
O 0.178 0.500 0.283 (multiplicity 2)
O 0.245 0.263 0.129 (multiplicity 4)
O 0.252 0.239 0.622 (multiplicity 4)
O 0.323 0.500 0.958 (multiplicity 2)
O 0.327 0.000 0.466 (multiplicity 2)
O 0.335 0.000 0.952 (multiplicity 2)
O 0.351 0.500 0.455 (multiplicity 2)
O 0.408 0.240 0.795 (multiplicity 4)
O 0.425 0.260 0.289 (multiplicity 4)
O 0.485 0.000 0.625 (multiplicity 2)
O 0.499 0.500 0.618 (multiplicity 2)

=====

# 2
## ZnMoO4 (PBE with a Hubbard U)

Data for a geometry-optimized ZnMoO4 structure.

Calculated values
As for the volume: 15.23 Å³/atom. The calculation puts the formation energy at -1111.5 kJ/mol of formula units.

Cell lengths 7.082, 8.499, 9.907 Å; angles 97.07, 106.79, 101.83 degrees
Space group P-1 (No. 2)
Inequivalent atoms, fractional coordinates:
Zn 0.032 0.116 0.287 (multiplicity 2)
Zn 0.252 0.694 0.910 (multiplicity 2)
Zn 0.466 0.301 0.515 (multiplicity 2)
Mo 0.021 0.292 0.626 (multiplicity 2)
Mo 0.301 0.398 0.161 (multiplicity 2)
Mo 0.495 0.013 0.243 (multiplicity 2)
O 0.022 0.121 0.716 (multiplicity 2)
O 0.049 0.268 0.144 (multiplicity 2)
O 0.143 0.268 0.486 (multiplicity 2)
O 0.148 0.478 0.753 (multiplicity 2)
O 0.236 0.708 0.461 (multiplicity 2)
O 0.255 0.560 0.071 (multiplicity 2)
O 0.264 0.867 0.766 (multiplicity 2)
O 0.339 0.903 0.072 (multiplicity 2)
O 0.352 0.140 0.319 (multiplicity 2)
O 0.444 0.290 0.080 (multiplicity 2)
O 0.445 0.482 0.350 (multiplicity 2)
O 0.447 0.130 0.646 (multiplicity 2)

=====

# 3
## ZnMo8O10 (PBE with a Hubbard U)

Data for a geometry-optimized ZnMo8O10 structure.

Calculated values
As for the distance to the lowest polymorph of the same formula: 1.87 eV/f.u. For the magnetic moment, the calculation gives 88.00 Bohr magnetons per cell. As for the volume: 13.84 Å³/atom. The calculation puts the formation energy at -2063.7 kJ/mol of formula units.

Cell lengths 6.409, 6.409, 25.606 Å; angles 90.00, 90.00, 90.00 degrees
Space group I4_1md (No. 109)
Inequivalent atoms, fractional coordinates:
Zn 0.000 0.000 0.000 (multiplicity 4)
Mo 0.000 0.229 0.700 (multiplicity 8)
Mo 0.000 0.234 0.870 (multiplicity 8)
Mo 0.000 0.254 0.537 (multiplicity 8)
Mo 0.000 0.265 0.373 (multiplicity 8)
O 0.000 0.204 0.455 (multiplicity 8)
O 0.000 0.231 0.290 (multiplicity 8)
O 0.000 0.250 0.120 (multiplicity 8)
O 0.000 0.258 0.955 (multiplicity 8)
O 0.000 0.280 0.786 (multiplicity 8)

=====

# 4
## ZnMo2O4 (PBE with a Hubbard U)

Data for a geometry-optimized ZnMo2O4 structure.

Calculated values
As for the distance to the lowest polymorph of the same formula: 0.81 eV/f.u. For the magnetic moment, the calculation gives 24.00 Bohr magnetons per cell. As for the volume: 12.14 Å³/atom. The calculation puts the formation energy at -1124.1 kJ/mol of formula units.

Cell lengths 3.159, 10.302, 10.444 Å; angles 90.00, 90.00, 90.00 degrees
Space group Pbcm (No. 57)
Inequivalent atoms, fractional coordinates:
Zn 0.047 0.146 0.250 (multiplicity 4)
Mo 0.300 0.618 0.573 (multiplicity 8)
O 0.194 0.250 0.000 (multiplicity 4)
O 0.199 0.519 0.112 (multiplicity 8)
O 0.424 0.725 0.750 (multiplicity 4)

=====

# 5
## ZnMo3O7 (PBE with a Hubbard U)

Data for a geometry-optimized ZnMo3O7 structure.

Calculated values
For the magnetic moment, the calculation gives 0.00 Bohr magnetons per cell. As for the volume: 14.92 Å³/atom. The calculation puts the formation energy at -1539.5 kJ/mol of formula units.

Cell lengths 9.885, 11.266, 5.895 Å; angles 90.00, 90.00, 90.00 degrees
Space group Pnma (No. 62)
Inequivalent atoms, fractional coordinates:
Zn 0.016 0.250 0.133 (multiplicity 4)
Mo 0.182 0.522 0.704 (multiplicity 8)
Mo 0.212 0.750 0.215 (multiplicity 4)
O 0.015 0.597 0.730 (multiplicity 8)
O 0.024 0.750 0.196 (multiplicity 4)
O 0.230 0.111 0.938 (multiplicity 8)
O 0.247 0.115 0.491 (multiplicity 8)

=====

# 6
## ZnMo8O10 (PBE with a Hubbard U)

Data for a geometry-optimized ZnMo8O10 structure.

Calculated values
As for the distance to the lowest polymorph of the same formula: 0.00 eV/f.u. For the magnetic moment, the calculation gives 1.54 Bohr magnetons per cell. As for the volume: 14.13 Å³/atom. The calculation puts the formation energy at -2244.5 kJ/mol of formula units.

Cell lengths 6.446, 6.446, 25.845 Å; angles 90.00, 90.00, 90.00 degrees
Space group I4_1/amd (No. 141, origin choice 2)
Inequivalent atoms, fractional coordinates:
Zn 0.000 0.250 0.375 (multiplicity 4)
Mo 0.000 0.007 0.083 (multiplicity 16)
Mo 0.000 0.016 0.249 (multiplicity 16)
O 0.000 0.000 0.500 (multiplicity 8)
O 0.000 0.016 0.669 (multiplicity 16)
O 0.000 0.033 0.835 (multiplicity 16)

=====

# 7
## ZnMo2O4 (PBE with a Hubbard U)

Data for a geometry-optimized ZnMo2O4 structure.

Calculated values
As for the distance to the lowest polymorph of the same formula: 1.07 eV/f.u. For the magnetic moment, the calculation gives 96.00 Bohr magnetons per cell. As for the volume: 12.85 Å³/atom. The calculation puts the formation energy at -1098.5 kJ/mol of formula units.

Cell lengths 11.210, 6.220, 20.716 Å; angles 90.00, 94.85, 90.00 degrees
Space group Cm (No. 8)
Inequivalent atoms, fractional coordinates:
Zn 0.000 0.000 0.000 (multiplicity 2)
Zn 0.012 0.500 0.502 (multiplicity 2)
Zn 0.025 0.500 0.092 (multiplicity 2)
Zn 0.124 0.500 0.376 (multiplicity 2)
Zn 0.238 0.500 0.250 (multiplicity 2)
Zn 0.264 0.000 0.750 (multiplicity 2)
Zn 0.285 0.500 0.842 (multiplicity 2)
Zn 0.386 0.000 0.625 (multiplicity 2)
Mo 0.013 0.251 0.749 (multiplicity 4)
Mo 0.038 0.000 0.593 (multiplicity 2)
Mo 0.131 0.000 0.873 (multiplicity 2)
Mo 0.215 0.000 0.155 (multiplicity 2)
Mo 0.235 0.500 0.658 (multiplicity 2)
Mo 0.254 0.250 0.999 (multiplicity 4)
Mo 0.260 0.249 0.500 (multiplicity 4)
Mo 0.271 0.000 0.345 (multiplicity 2)
Mo 0.369 0.500 0.124 (multiplicity 2)
Mo 0.478 0.500 0.406 (multiplicity 2)
Mo 0.479 0.000 0.906 (multiplicity 2)
Mo 0.493 0.247 0.250 (multiplicity 4)
O 0.036 0.000 0.182 (multiplicity 2)
O 0.057 0.500 0.681 (multiplicity 2)
O 0.065 0.500 0.191 (multiplicity 2)
O 0.086 0.246 0.942 (multiplicity 4)
O 0.089 0.249 0.443 (multiplicity 4)
O 0.092 0.000 0.693 (multiplicity 2)
O 0.164 0.251 0.305 (multiplicity 4)
O 0.172 0.000 0.055 (multiplicity 2)
O 0.183 0.500 0.556 (multiplicity 2)
O 0.185 0.243 0.807 (multiplicity 4)
O 0.199 0.500 0.063 (multiplicity 2)
O 0.217 0.000 0.568 (multiplicity 2)
O 0.300 0.000 0.931 (multiplicity 2)
O 0.301 0.500 0.432 (multiplicity 2)
O 0.322 0.253 0.192 (multiplicity 4)
O 0.327 0.500 0.941 (multiplicity 2)
O 0.338 0.000 0.443 (multiplicity 2)
O 0.344 0.247 0.692 (multiplicity 4)
O 0.414 0.500 0.306 (multiplicity 2)
O 0.425 0.258 0.058 (multiplicity 4)
O 0.431 0.248 0.555 (multiplicity 4)
O 0.434 0.000 0.805 (multiplicity 2)
O 0.448 0.000 0.317 (multiplicity 2)
O 0.460 0.500 0.813 (multiplicity 2)

=====

# 8
## ZnMo2O4 (PBE with a Hubbard U)

Data for a geometry-optimized ZnMo2O4 structure.

Calculated values
As for the distance to the lowest polymorph of the same formula: 0.96 eV/f.u. For the magnetic moment, the calculation gives 24.00 Bohr magnetons per cell. As for the volume: 12.04 Å³/atom. The calculation puts the formation energy at -1109.1 kJ/mol of formula units.

Cell lengths 3.131, 10.338, 10.413 Å; angles 90.00, 90.00, 90.00 degrees
Space group Cmcm (No. 63)
Inequivalent atoms, fractional coordinates:
Zn 0.000 0.105 0.250 (multiplicity 4)
Mo 0.000 0.368 0.073 (multiplicity 8)
O 0.000 0.000 0.000 (multiplicity 4)
O 0.000 0.270 0.613 (multiplicity 8)
O 0.000 0.478 0.250 (multiplicity 4)

=====

# 9
## ZnMo2O6 (PBE with a Hubbard U)

Data for a geometry-optimized ZnMo2O6 structure.

Calculated values
For the magnetic moment, the calculation gives 4.00 Bohr magnetons per cell. As for the volume: 12.45 Å³/atom. The calculation puts the formation energy at -1590.6 kJ/mol of formula units.

Cell lengths 5.323, 5.509, 9.257 Å; angles 90.00, 124.33, 90.00 degrees
Space group Pc (No. 7)
Inequivalent atoms, fractional coordinates:
Zn 0.000 0.214 0.000 (multiplicity 2)
Mo 0.250 0.248 0.745 (multiplicity 2)
Mo 0.738 0.266 0.246 (multiplicity 2)
O 0.005 0.064 0.194 (multiplicity 2)
O 0.074 0.275 0.505 (multiplicity 2)
O 0.361 0.227 0.996 (multiplicity 2)
O 0.492 0.457 0.298 (multiplicity 2)
O 0.623 0.058 0.806 (multiplicity 2)
O 0.899 0.465 0.708 (multiplicity 2)

=====

# 10
## ZnMo2O4 (PBE with a Hubbard U)

Data for a geometry-optimized ZnMo2O4 structure.

Calculated values
As for the distance to the lowest polymorph of the same formula: 0.00 eV/f.u. For the magnetic moment, the calculation gives 36.00 Bohr magnetons per cell. As for the volume: 12.72 Å³/atom. The calculation puts the formation energy at -1201.9 kJ/mol of formula units.

Cell lengths 6.4372, 6.4372, 14.8860 Å; angles 90.00, 90.00, 120.00 degrees
Space group R3m (No. 160, hexagonal axes)
Inequivalent atoms, fractional coordinates:
Zn 0.0000 0.0000 0.0000 (multiplicity 3)
Zn 0.0000 0.0000 0.2445 (multiplicity 3)
Mo 0.0000 0.0000 0.6216 (multiplicity 3)
Mo 0.9999 0.5000 0.1220 (multiplicity 9)
O 0.0000 0.0000 0.3800 (multiplicity 3)
O 0.0000 0.0000 0.8640 (multiplicity 3)
O 0.0153 0.5076 0.3741 (multiplicity 9)
O 0.1739 0.3477 0.2026 (multiplicity 9)

=====

# 11
## ZnMo2O4 (PBE with a Hubbard U)

Data for a geometry-optimized ZnMo2O4 structure.

Calculated values
As for the distance to the lowest polymorph of the same formula: 0.42 eV/f.u. For the magnetic moment, the calculation gives 10.00 Bohr magnetons per cell. As for the volume: 13.15 Å³/atom. The calculation puts the formation energy at -1161.6 kJ/mol of formula units.

Cell lengths 3.250, 7.592, 7.770 Å; angles 81.02, 79.88, 79.68 degrees
Space group P1 (No. 1)
Inequivalent atoms, fractional coordinates:
Zn 0.000 0.000 0.000 (multiplicity 1)
Zn 0.380 0.154 0.198 (multiplicity 1)
Mo 0.065 0.898 0.564 (multiplicity 1)
Mo 0.364 0.264 0.632 (multiplicity 1)
Mo 0.566 0.580 0.909 (multiplicity 1)
Mo 0.866 0.582 0.287 (multiplicity 1)
O 0.147 0.440 0.830 (multiplicity 1)
O 0.286 0.723 0.366 (multiplicity 1)
O 0.470 0.439 0.171 (multiplicity 1)
O 0.534 0.068 0.443 (multiplicity 1)
O 0.564 0.763 0.700 (multiplicity 1)
O 0.866 0.400 0.496 (multiplicity 1)
O 0.893 0.095 0.752 (multiplicity 1)
O 0.960 0.724 0.025 (multiplicity 1)

=====

| no. | electronic total energy (eV per cell) |
| --- | --- |
| 1 | -550.3 |
| 2 | -224.8 |
| 3 | -505.6 |
| 4 | -181.0 |
| 5 | -279.9 |
| 6 | -513.1 |
| 7 | -719.6 |
| 8 | -180.3 |
| 9 | -117.2 |
| 10 | -276.3 |
| 11 | -91.3 |